[1]
Crystalline Zn2Cr3O8 at its relaxed geometry, computed with GGA+U.

Geometry as extended XYZ:
```
26
Lattice="5.8747 0.0000 0.0000 -2.9373 5.0876 0.0000 0.0000 0.0000 9.5357" Properties=species:S:1:pos:R:3 pbc="T T T"
Zn 2.9373 1.6959 0.2541
Zn 0.0000 3.3917 5.0220
Zn 2.9373 1.6959 4.0575
Zn 0.0000 3.3917 8.8254
Cr 1.4974 4.2562 2.3182
Cr 4.4347 0.8314 7.0861
Cr 0.0000 1.6627 2.3182
Cr 2.9373 3.4249 7.0861
Cr 1.4400 0.8314 7.0861
Cr -1.4974 4.2562 2.3182
O 4.4448 0.8256 1.4057
O 1.5074 4.2621 6.1736
O 0.0000 1.6511 6.1736
O 2.9373 3.4365 1.4057
O 1.4299 0.8256 1.4057
O -1.5074 4.2621 6.1736
O 1.6314 2.4499 8.2196
O -1.3059 2.6378 3.4518
O 0.0000 4.8997 3.4518
O 2.9373 0.1879 8.2196
O 0.0000 0.0000 3.3464
O 0.0000 0.0000 8.1143
O 0.0000 3.3917 1.2673
O 4.2433 2.4499 8.2196
O 1.3059 2.6378 3.4518
O 2.9373 1.6959 6.0352
```

Summary:
Final energy = -6.5328 eV/atom
Formation energy = -1.951 eV per atom
Crystal system = hexagonal
Volume = 142.50 Å³/f.u.

=====

[2]
Crystalline KAl2NiP3O14 at its relaxed geometry, computed with GGA+U.

Geometry as extended XYZ:
```
42
Lattice="2.2870 -6.6904 -4.4255 4.6059 3.3763 -6.0797 8.3586 -1.5418 2.3346" Properties=species:S:1:pos:R:3 pbc="T T T"
K 6.3979 1.6986 -5.2837
K 8.8536 -6.5545 -2.8869
Al 2.7130 -1.9721 -3.0923
Al 12.5386 -2.8838 -5.0783
Al 8.0013 -3.6666 -5.9903
Al 7.2502 -1.1894 -2.1803
Ni 4.9235 -4.7020 -4.2320
Ni 10.3281 -0.1539 -3.9386
P 7.1795 -1.5862 -8.1644
P 8.0720 -3.2697 -0.0062
P 4.4938 0.1107 -1.6023
P 10.7577 -4.9666 -6.5683
P 5.5389 -2.0304 -4.6709
P 9.7126 -2.8255 -3.4997
O 5.0079 -1.1374 -5.8088
O 10.2436 -3.7185 -2.3618
O 6.4784 -1.1501 -3.8245
O 8.7732 -3.7058 -4.3461
O 4.3724 -2.6678 -3.8517
O 10.8792 -2.1881 -4.3189
O 6.2615 -3.3202 -5.1735
O 8.9901 -1.5358 -2.9971
O 3.3347 -5.6046 -3.2899
O 11.9168 0.7487 -4.8807
O 5.9051 -6.4351 -4.7409
O 9.3464 1.5792 -3.4297
O 2.6969 -3.4267 -2.0500
O 12.5546 -1.4292 -6.1206
O 7.3223 -5.2294 -6.5368
O 7.9292 0.3735 -1.6338
O 5.7023 -2.0133 -8.2711
O 9.5492 -2.8426 0.1005
O 5.6511 -0.8507 -1.2675
O 9.6004 -4.0052 -6.9031
O 6.1714 -5.0447 -2.8457
O 9.0801 0.1887 -5.3249
O 3.5548 -4.8833 -5.5321
O 11.6967 0.0274 -2.6385
O 7.8287 -2.1094 -6.8641
O 7.4228 -2.7465 -1.3065
O 3.5941 -0.4537 -2.7239
O 11.6574 -4.4023 -5.4467
```

Summary:
Final energy = -6.5526 eV/atom
Formation energy = -2.375 eV per atom
Crystal system = monoclinic
Volume = 282.42 Å³/f.u.

=====

[3]
Crystalline KSmMo2O8 at its relaxed geometry, computed with GGA+U.

Geometry as extended XYZ:
```
12
Lattice="-2.7113 2.7113 5.9840 2.7113 -2.7113 5.9840 2.7113 2.7113 -5.9840" Properties=species:S:1:pos:R:3 pbc="T T T"
K 0.0000 2.7113 2.9920
Sm 0.0000 0.0000 0.0000
Mo 2.7113 0.0000 2.9920
Mo 0.0000 0.0000 5.9840
O 2.0393 1.3104 4.0235
O 3.5859 1.4321 -0.9092
O -0.8747 1.2792 5.0748
O 3.3832 -1.3104 4.0235
O 1.4321 1.8366 0.9092
O 4.0217 0.6720 1.9605
O 1.4009 -0.6720 1.9605
O 1.2792 0.8747 6.8931
```

Summary:
Final energy = -7.1049 eV/atom
Formation energy = -2.505 eV per atom
Crystal system = tetragonal
Volume = 175.95 Å³/f.u.

=====

> Look up the volume of the first one.

142.50 Å³/f.u.